Record 1
A plane-wave DFT calculation with GGA+U was carried out for RbFeO2 after structural relaxation.

Geometry as POSCAR:
```
RbFeO2
1.0
3.877 -1.899 2.965
4.353 -3.854 -8.162
2.697 5.900 -1.347
Fe O Rb
4 8 4
direct
0.250 0.485 0.500
0.250 0.015 0.000
0.750 0.985 0.000
0.750 0.515 0.500
0.508 0.906 0.155
0.008 0.094 0.155
0.492 0.094 0.845
0.992 0.594 0.345
0.492 0.406 0.345
0.992 0.906 0.845
0.008 0.406 0.655
0.508 0.594 0.655
0.250 0.653 0.000
0.750 0.153 0.500
0.750 0.347 0.000
0.250 0.847 0.500
```

Summary:
Raw total energy in eV per formula unit: -22.32
Formation energy from the elements in eV per atom: -1.650

Record 2
A plane-wave DFT calculation with GGA+U was carried out for Li2W2O7 after structural relaxation.

Geometry as POSCAR:
```
Li2W2O7
1.0
5.262 0.000 0.000
0.599 6.907 0.000
2.058 2.788 7.987
Li W O
4 4 14
direct
0.093 0.228 0.359
0.365 0.558 0.751
0.635 0.442 0.249
0.907 0.772 0.641
0.197 0.962 0.836
0.291 0.756 0.313
0.709 0.244 0.687
0.803 0.038 0.164
0.056 0.098 0.637
0.095 0.713 0.855
0.170 0.910 0.077
0.226 0.508 0.309
0.306 0.701 0.527
0.352 0.252 0.797
0.449 0.073 0.251
0.551 0.927 0.749
0.648 0.748 0.203
0.694 0.299 0.473
0.774 0.492 0.691
0.830 0.090 0.923
0.905 0.287 0.145
0.944 0.902 0.363
```

Summary:
Raw total energy in eV per formula unit: -75.34
Formation energy from the elements in eV per atom: -2.242
Distance to the lowest polymorph of the same formula in meV/atom: 40